# 1
3
Lattice="4.970 -2.896 0.000 4.970 2.896 0.000 -3.250 0.000 4.883" Properties=species:S:1:pos:R:3 comment="PBE Rb2Pd, relaxed" e_form_ev_per_atom=0.1015 space_group="C2/m (12)" pbc="T T T"
Rb 1.684 0.000 1.194
Rb 5.005 0.000 3.689
Pd -1.625 0.000 2.442

# 2
9
Lattice="6.236 0.000 0.000 -2.977 5.480 0.000 -1.629 -2.740 6.879" Properties=species:S:1:pos:R:3 comment="PBE Rb2Pd3S4, relaxed" e_form_ev_per_atom=-0.9369 space_group="P1 (1)" pbc="T T T"
Rb 0.000 0.000 0.000
Rb -0.051 0.004 4.378
Pd -1.538 2.765 2.176
Pd 1.646 2.736 2.176
Pd 3.151 0.011 2.227
S 0.082 3.706 0.719
S 0.095 3.734 3.729
S 3.191 1.892 0.682
S 3.214 1.818 3.746